# Tb3Ni7P5 GGA-PBE optimized geometry
# - ΔH_f (0 K) (eV/atom) = -0.982
# - total DFT energy (no corrections) (eV per atom) = -6.41
data_Tb3Ni7P5
_chemical_formula_sum 'Tb12 Ni28 P20'
_cell_length_a 16.327
_cell_length_b 3.816
_cell_length_c 16.330
_cell_angle_alpha 90.00
_cell_angle_beta 119.94
_cell_angle_gamma 90.00
_symmetry_space_group_name_H-M 'P 1 m 1'
_symmetry_Int_Tables_number 6
loop_
_symmetry_equiv_pos_as_xyz
'x,y,z'
'x,-y,z'
loop_
_atom_site_label
_atom_site_type_symbol
_atom_site_fract_x
_atom_site_fract_y
_atom_site_fract_z
Tb1 Tb 0.000 0.000 0.000
Tb2 Tb 0.028 0.500 0.325
Tb3 Tb 0.084 0.500 0.589
Tb4 Tb 0.203 0.000 0.940
Tb5 Tb 0.260 0.000 0.205
Tb6 Tb 0.288 0.500 0.530
Tb7 Tb 0.408 0.000 0.886
Tb8 Tb 0.468 0.000 0.149
Tb9 Tb 0.522 0.000 0.407
Tb10 Tb 0.764 0.500 0.120
Tb11 Tb 0.819 0.500 0.381
Tb12 Tb 0.880 0.500 0.643
Ni1 Ni 0.076 0.000 0.211
Ni2 Ni 0.090 0.500 0.779
Ni3 Ni 0.132 0.000 0.480
Ni4 Ni 0.156 0.500 0.050
Ni5 Ni 0.197 0.000 0.750
Ni6 Ni 0.210 0.500 0.318
Ni7 Ni 0.299 0.500 0.722
Ni8 Ni 0.340 0.000 0.419
Ni9 Ni 0.359 0.500 0.992
Ni10 Ni 0.393 0.000 0.691
Ni11 Ni 0.417 0.500 0.253
Ni12 Ni 0.465 0.500 0.519
Ni13 Ni 0.553 0.000 0.826
Ni14 Ni 0.575 0.500 0.942
Ni15 Ni 0.584 0.000 0.617
Ni16 Ni 0.601 0.000 0.068
Ni17 Ni 0.630 0.500 0.198
Ni18 Ni 0.658 0.000 0.332
Ni19 Ni 0.685 0.500 0.462
Ni20 Ni 0.717 0.000 0.587
Ni21 Ni 0.731 0.500 0.705
Ni22 Ni 0.791 0.000 0.853
Ni23 Ni 0.821 0.000 0.015
Ni24 Ni 0.870 0.000 0.276
Ni25 Ni 0.895 0.500 0.838
Ni26 Ni 0.929 0.000 0.538
Ni27 Ni 0.946 0.500 0.110
Ni28 Ni 0.988 0.000 0.807
P1 P 0.034 0.000 0.691
P2 P 0.052 0.500 0.896
P3 P 0.108 0.500 0.155
P4 P 0.180 0.000 0.374
P5 P 0.235 0.000 0.634
P6 P 0.253 0.500 0.838
P7 P 0.310 0.500 0.098
P8 P 0.366 0.500 0.357
P9 P 0.437 0.000 0.581
P10 P 0.462 0.500 0.785
P11 P 0.512 0.500 0.042
P12 P 0.570 0.500 0.301
P13 P 0.619 0.500 0.558
P14 P 0.667 0.000 0.971
P15 P 0.717 0.000 0.228
P16 P 0.775 0.000 0.487
P17 P 0.827 0.000 0.742
P18 P 0.845 0.500 0.947
P19 P 0.920 0.000 0.173
P20 P 0.977 0.000 0.431